Density functional theory data (PBE with a Hubbard U) for a relaxed structure of Na2Co3O6.

Results
- energy (eV/atom) = -5.346
- formation energy (meV/atom) = -1289.2

Cell: 6.749 8.075 11.131 Å, 90.00 90.00 90.00°
Space group Amm2 (No. 38)
One atom of each set of equivalent atoms:
Na  0.000  0.000  0.000 [2 per cell]
Na  0.000  0.170  0.504 [4 per cell]
Na  0.500  0.000  0.531 [2 per cell]
Co  0.244  0.000  0.770 [4 per cell]
Co  0.250  0.169  0.266 [8 per cell]
O  0.227  0.170  0.879 [8 per cell]
O  0.235  0.000  0.160 [4 per cell]
O  0.237  0.000  0.377 [4 per cell]
O  0.251  0.165  0.656 [8 per cell]